MgFe3Ni2SbP6O24 | PBE+U | relaxed

Cell lengths 8.484, 8.604, 8.617 Å; angles 61.30, 61.92, 61.91 degrees
Positions (direct):
Mg: 0.000 0.000 0.000
Fe: 0.127 0.476 0.703
Fe: 0.618 0.971 0.221
Fe: 0.918 0.261 0.494
Ni: 0.277 0.601 0.845
Ni: 0.761 0.124 0.369
Sb: 0.423 0.760 0.002
P: 0.020 0.662 0.311
P: 0.212 0.167 0.104
P: 0.318 0.075 0.598
P: 0.525 0.566 0.408
P: 0.729 0.379 0.891
P: 0.840 0.871 0.807
O: 0.019 0.177 0.254
O: 0.026 0.705 0.788
O: 0.096 0.617 0.459
O: 0.173 0.079 0.541
O: 0.177 0.702 0.097
O: 0.207 0.356 0.940
O: 0.232 0.007 0.036
O: 0.238 0.222 0.690
O: 0.343 0.870 0.768
O: 0.364 0.548 0.600
O: 0.381 0.104 0.158
O: 0.438 0.621 0.253
O: 0.513 0.073 0.452
O: 0.518 0.526 0.936
O: 0.598 0.714 0.368
O: 0.661 0.802 0.905
O: 0.671 0.372 0.411
O: 0.746 0.321 0.743
O: 0.749 0.210 0.076
O: 0.824 0.016 0.617
O: 0.836 0.942 0.942
O: 0.868 0.474 0.836
O: 0.878 0.867 0.282
O: 0.966 0.513 0.325

* symmetry: No. 1
* excess energy over the best structure of this formula in the dataset: 0.028 eV/atom

=====

Ti5MnP6O24 | PBE+U | relaxed

Cell lengths 8.488, 8.488, 8.488 Å; angles 62.03, 62.03, 62.03 degrees
Positions (direct):
Ti: 0.000 0.000 0.000
Ti: 0.142 0.142 0.142
Ti: 0.498 0.498 0.498
Ti: 0.642 0.642 0.642
Ti: 0.786 0.786 0.786
Mn: 0.289 0.289 0.289
P: 0.093 0.392 0.689
P: 0.185 0.891 0.598
P: 0.392 0.689 0.093
P: 0.598 0.185 0.891
P: 0.689 0.093 0.392
P: 0.891 0.598 0.185
O: 0.032 0.808 0.655
O: 0.037 0.399 0.192
O: 0.081 0.239 0.891
O: 0.120 0.321 0.544
O: 0.142 0.963 0.754
O: 0.192 0.037 0.399
O: 0.239 0.891 0.081
O: 0.256 0.460 0.641
O: 0.321 0.544 0.120
O: 0.384 0.735 0.585
O: 0.399 0.192 0.037
O: 0.460 0.641 0.256
O: 0.544 0.120 0.321
O: 0.550 0.713 0.894
O: 0.585 0.384 0.735
O: 0.641 0.256 0.460
O: 0.655 0.032 0.808
O: 0.713 0.894 0.550
O: 0.735 0.585 0.384
O: 0.754 0.142 0.963
O: 0.808 0.655 0.032
O: 0.891 0.081 0.239
O: 0.894 0.550 0.713
O: 0.963 0.754 0.142

* symmetry: No. 146

=====

CaMnO2 | PBE+U | relaxed

Cell lengths 5.670, 5.739, 6.618 Å; angles 89.98, 73.05, 99.75 degrees
Positions (direct):
Ca: 0.500 0.750 0.875
O: 0.762 0.127 0.309
O: 0.238 0.373 0.941
O: 0.238 0.873 0.690
Ca: 0.500 0.250 0.125
O: 0.762 0.627 0.560
O: 0.238 0.373 0.441
Mn: 0.000 0.000 0.499
Mn: 0.000 0.500 0.251
O: 0.762 0.127 0.809
O: 0.238 0.873 0.190
Mn: 0.000 0.000 0.999
O: 0.762 0.627 0.060
Ca: 0.500 0.250 0.625
Mn: 0.000 0.500 0.751
Ca: 0.500 0.750 0.375

=====

MgMn6O6F6 | PBE+U | relaxed

Cell lengths 5.760, 6.097, 8.161 Å; angles 79.16, 71.71, 65.96 degrees
Positions (direct):
Mg: 0.000 0.000 0.000
Mn: 0.020 0.479 0.020
Mn: 0.032 0.822 0.670
Mn: 0.033 0.146 0.344
Mn: 0.485 0.266 0.635
Mn: 0.512 0.000 0.011
Mn: 0.633 0.763 0.414
O: 0.226 0.313 0.180
O: 0.247 0.189 0.885
O: 0.329 0.607 0.531
O: 0.772 0.075 0.829
O: 0.774 0.791 0.138
O: 0.824 0.971 0.499
F: 0.229 0.715 0.861
F: 0.236 0.875 0.172
F: 0.291 0.065 0.513
F: 0.792 0.255 0.167
F: 0.826 0.605 0.843
F: 0.838 0.415 0.495

* symmetry: No. 1
* excess energy over the best structure of this formula in the dataset: 0.043 eV/atom

=====

Be2Tl2CoO6F8 | PBE+U | relaxed

Cell lengths 5.775, 9.777, 10.644 Å; angles 90.00, 106.61, 90.00 degrees
Positions (direct):
Be: 0.226 0.141 0.413
Be: 0.226 0.359 0.913
Be: 0.774 0.641 0.087
Be: 0.774 0.859 0.587
Tl: 0.157 0.715 0.888
Tl: 0.157 0.785 0.388
Tl: 0.843 0.215 0.612
Tl: 0.843 0.285 0.112
Co: 0.500 0.000 0.000
Co: 0.500 0.500 0.500
O: 0.236 0.029 0.070
O: 0.236 0.471 0.570
O: 0.334 0.606 0.367
O: 0.334 0.894 0.867
O: 0.355 0.581 0.622
O: 0.355 0.919 0.122
O: 0.645 0.081 0.878
O: 0.645 0.419 0.378
O: 0.666 0.106 0.133
O: 0.666 0.394 0.633
O: 0.764 0.529 0.430
O: 0.764 0.971 0.930
F: 0.089 0.240 0.824
F: 0.089 0.260 0.324
F: 0.150 0.147 0.545
F: 0.150 0.353 0.045
F: 0.152 0.001 0.339
F: 0.152 0.499 0.839
F: 0.496 0.657 0.055
F: 0.496 0.843 0.555
F: 0.504 0.157 0.445
F: 0.504 0.343 0.945
F: 0.848 0.501 0.161
F: 0.848 0.999 0.661
F: 0.850 0.647 0.955
F: 0.850 0.853 0.455
F: 0.911 0.740 0.676
F: 0.911 0.760 0.176

* symmetry: No. 14
* excess energy over the best structure of this formula in the dataset: 0.000 eV/atom

=====

Ti3Cu2P6WO24 | PBE+U | relaxed

Cell lengths 8.703, 8.703, 8.703 Å; angles 59.97, 59.97, 59.97 degrees
Positions (direct):
Ti: 0.000 0.000 0.000
Ti: 0.216 0.216 0.216
Ti: 0.716 0.716 0.716
Cu: 0.354 0.354 0.354
Cu: 0.858 0.858 0.858
P: 0.105 0.822 0.397
P: 0.317 0.609 0.901
P: 0.397 0.105 0.822
P: 0.609 0.901 0.317
P: 0.822 0.397 0.105
P: 0.901 0.317 0.609
W: 0.500 0.500 0.500
O: 0.055 0.858 0.233
O: 0.088 0.300 0.442
O: 0.129 0.775 0.918
O: 0.161 0.983 0.358
O: 0.233 0.055 0.858
O: 0.270 0.632 0.416
O: 0.300 0.442 0.088
O: 0.350 0.556 0.741
O: 0.358 0.161 0.983
O: 0.416 0.270 0.632
O: 0.442 0.088 0.300
O: 0.483 0.661 0.857
O: 0.556 0.741 0.350
O: 0.587 0.941 0.800
O: 0.632 0.416 0.270
O: 0.661 0.857 0.483
O: 0.741 0.350 0.556
O: 0.775 0.918 0.129
O: 0.800 0.587 0.941
O: 0.857 0.483 0.661
O: 0.858 0.233 0.055
O: 0.918 0.129 0.775
O: 0.941 0.800 0.587
O: 0.983 0.358 0.161

* symmetry: No. 146

=====

Be3Fe2Si3O12 | PBE+U | relaxed

Cell lengths 8.047, 7.493, 16.009 Å; angles 90.00, 119.86, 90.00 degrees
Positions (direct):
Be: 0.027 0.158 0.417
Be: 0.027 0.342 0.917
Be: 0.306 0.162 0.232
Be: 0.306 0.338 0.732
Be: 0.338 0.660 0.402
Be: 0.338 0.840 0.902
Be: 0.662 0.160 0.098
Be: 0.662 0.340 0.598
Be: 0.694 0.662 0.268
Be: 0.694 0.838 0.768
Be: 0.973 0.658 0.083
Be: 0.973 0.842 0.583
Fe: 0.312 0.048 0.067
Fe: 0.312 0.452 0.567
Fe: 0.346 0.033 0.594
Fe: 0.346 0.467 0.094
Fe: 0.654 0.533 0.906
Fe: 0.654 0.967 0.406
Fe: 0.688 0.548 0.433
Fe: 0.688 0.952 0.933
Si: 0.034 0.730 0.921
Si: 0.034 0.770 0.421
Si: 0.309 0.723 0.734
Si: 0.309 0.777 0.234
Si: 0.340 0.232 0.903
Si: 0.340 0.268 0.403
Si: 0.660 0.732 0.597
Si: 0.660 0.768 0.097
Si: 0.691 0.223 0.766
Si: 0.691 0.277 0.266
Si: 0.966 0.230 0.579
Si: 0.966 0.270 0.079
O: 0.091 0.228 0.022
O: 0.091 0.272 0.522
O: 0.118 0.233 0.691
O: 0.118 0.239 0.866
O: 0.118 0.261 0.366
O: 0.118 0.267 0.191
O: 0.139 0.533 0.963
O: 0.139 0.967 0.463
O: 0.215 0.628 0.145
O: 0.215 0.872 0.645
O: 0.217 0.630 0.462
O: 0.217 0.870 0.962
O: 0.235 0.733 0.808
O: 0.235 0.767 0.308
O: 0.279 0.531 0.675
O: 0.279 0.969 0.175
O: 0.423 0.035 0.893
O: 0.423 0.465 0.393
O: 0.428 0.127 0.353
O: 0.428 0.373 0.853
O: 0.444 0.234 0.525
O: 0.444 0.266 0.025
O: 0.448 0.234 0.697
O: 0.448 0.266 0.197
O: 0.552 0.734 0.803
O: 0.552 0.766 0.303
O: 0.556 0.734 0.975
O: 0.556 0.766 0.475
O: 0.572 0.627 0.147
O: 0.572 0.873 0.647
O: 0.577 0.535 0.607
O: 0.577 0.965 0.107
O: 0.721 0.031 0.825
O: 0.721 0.469 0.325
O: 0.765 0.233 0.692
O: 0.765 0.267 0.192
O: 0.783 0.130 0.038
O: 0.783 0.370 0.538
O: 0.785 0.128 0.355
O: 0.785 0.372 0.855
O: 0.861 0.033 0.537
O: 0.861 0.467 0.037
O: 0.882 0.733 0.809
O: 0.882 0.739 0.634
O: 0.882 0.761 0.134
O: 0.882 0.767 0.309
O: 0.909 0.728 0.478
O: 0.909 0.772 0.978

* symmetry: No. 14

=====

VSO5 | PBE+U | relaxed

Cell lengths 4.190, 9.016, 9.016 Å; angles 90.00, 90.00, 90.00 degrees
Positions (direct):
O: 0.710 0.102 0.835
S: 0.500 0.000 0.250
O: 0.290 0.585 0.148
O: 0.710 0.898 0.665
O: 0.710 0.585 0.648
S: 0.500 0.500 0.750
O: 0.226 0.250 0.000
O: 0.290 0.602 0.835
S: 0.500 0.000 0.750
O: 0.290 0.898 0.165
O: 0.710 0.602 0.335
O: 0.290 0.398 0.665
O: 0.290 0.915 0.852
O: 0.710 0.085 0.148
V: 0.384 0.750 0.000
O: 0.226 0.750 0.500
S: 0.500 0.500 0.250
V: 0.616 0.750 0.500
O: 0.290 0.102 0.335
V: 0.616 0.250 0.000
O: 0.290 0.415 0.352
V: 0.384 0.250 0.500
O: 0.710 0.415 0.852
O: 0.290 0.085 0.648
O: 0.774 0.250 0.500
O: 0.710 0.398 0.165
O: 0.774 0.750 0.000
O: 0.710 0.915 0.352

* excess energy over the best structure of this formula in the dataset: 0.028 eV/atom

=====

Li8Bi2Mo7O28 | PBE+U | relaxed

Cell lengths 15.443, 15.443, 15.443 Å; angles 91.74, 91.74, 159.94 degrees
Positions (direct):
Li: 0.118 0.314 0.944
Li: 0.131 0.186 0.807
Li: 0.165 0.170 0.500
Li: 0.334 0.835 0.004
Li: 0.370 0.174 0.056
Li: 0.379 0.324 0.193
Li: 0.509 0.254 0.258
Li: 0.670 0.666 0.500
Li: 0.676 0.869 0.055
Li: 0.686 0.630 0.804
Li: 0.746 0.004 0.255
Li: 0.749 0.491 0.745
Li: 0.814 0.621 0.945
Li: 0.826 0.882 0.196
Li: 0.830 0.330 0.996
Li: 0.996 0.251 0.742
Bi: 0.108 0.748 0.359
Bi: 0.251 0.892 0.641
Bi: 0.252 0.610 0.359
Bi: 0.390 0.749 0.641
Mo: 0.000 0.000 0.000
Mo: 0.141 0.020 0.689
Mo: 0.168 0.480 0.121
Mo: 0.331 0.452 0.311
Mo: 0.360 0.048 0.879
Mo: 0.520 0.640 0.688
Mo: 0.548 0.859 0.879
Mo: 0.619 0.380 0.499
Mo: 0.620 0.119 0.239
Mo: 0.750 0.250 0.500
Mo: 0.879 0.381 0.761
Mo: 0.881 0.121 0.501
Mo: 0.952 0.832 0.312
Mo: 0.980 0.669 0.121
O: 0.001 0.942 0.592
O: 0.005 0.412 0.501
O: 0.006 0.263 0.402
O: 0.008 0.154 0.254
O: 0.017 0.517 0.873
O: 0.026 0.358 0.223
O: 0.058 0.650 0.059
O: 0.069 0.018 0.244
O: 0.102 0.360 0.602
O: 0.119 0.619 0.688
O: 0.124 0.193 0.933
O: 0.135 0.803 0.777
O: 0.156 0.565 0.061
O: 0.175 0.931 0.949
O: 0.197 0.974 0.332
O: 0.246 0.992 0.145
O: 0.260 0.191 0.067
O: 0.262 0.406 0.749
O: 0.303 0.635 0.777
O: 0.324 0.271 0.761
O: 0.350 0.409 0.408
O: 0.365 0.142 0.668
O: 0.381 0.069 0.500
O: 0.396 0.994 0.257
O: 0.435 0.495 0.591
O: 0.437 0.676 0.947
O: 0.474 0.697 0.332
O: 0.483 0.355 0.499
O: 0.487 0.738 0.143
O: 0.496 0.995 0.407
O: 0.499 0.898 0.258
O: 0.505 0.095 0.939
O: 0.509 0.563 0.239
O: 0.569 0.881 0.500
O: 0.588 0.089 0.593
O: 0.591 0.999 0.941
O: 0.594 0.344 0.857
O: 0.640 0.242 0.742
O: 0.642 0.865 0.668
O: 0.645 0.144 0.127
O: 0.656 0.513 0.251
O: 0.729 0.491 0.053
O: 0.737 0.139 0.743
O: 0.758 0.501 0.398
O: 0.774 0.825 0.756
O: 0.807 0.740 0.930
O: 0.809 0.876 0.070
O: 0.846 0.100 0.855
O: 0.856 0.983 0.501
O: 0.858 0.526 0.223
O: 0.861 0.604 0.598
O: 0.900 0.754 0.746
O: 0.905 0.844 0.409
O: 0.911 0.504 0.499
O: 0.931 0.431 0.312
O: 0.982 0.226 0.051

* symmetry: No. 82

=====

Number 1: DFT formation energy -2.267 eV per atom. Number 2: DFT formation energy -2.901 eV per atom. Number 3: DFT formation energy -2.622 eV per atom. Number 4: DFT formation energy -2.418 eV per atom. Number 5: DFT formation energy -1.770 eV per atom. Number 6: DFT formation energy -2.657 eV per atom. Number 7: DFT formation energy -2.691 eV per atom. Number 8: DFT formation energy -2.071 eV per atom. Number 9: DFT formation energy -2.129 eV per atom.